(1)
20
Lattice="-4.854 -6.165 0.664 0.571 0.390 7.844 -2.991 4.326 -5.861" Properties=species:S:1:pos:R:3 comment="Y2Si5Ni3, relaxed, DFT GGA-PBE" magnetic_moment_mub_per_fu=0.00 pbc="T T T"
Ni -6.368 -3.238 -0.068
Ni -1.453 -0.981 0.559
Ni -4.527 0.259 -2.103
Ni -2.746 -1.708 4.750
Ni -5.820 -0.468 2.088
Ni -0.906 1.789 2.715
Si -0.605 1.179 0.496
Si -3.187 -1.260 -0.892
Si -1.746 -0.360 2.763
Si -4.086 -0.189 3.539
Si -3.476 2.339 -1.730
Si -1.815 3.537 1.487
Si -3.527 1.608 -4.090
Si -3.746 -3.057 6.737
Si -5.527 -1.089 -0.116
Si -3.798 -3.788 4.377
Y -6.548 -2.161 -2.851
Y -3.644 -2.614 1.771
Y -3.629 1.165 0.876
Y -0.725 0.712 5.498

***

(2)
4
Lattice="5.724 -0.704 3.491 2.710 6.100 0.948 -6.222 -2.329 1.143" Properties=species:S:1:pos:R:3 comment="Sr3Cr, relaxed, DFT GGA-PBE" magnetic_moment_mub_per_fu=4.40 pbc="T T T"
Sr 4.217 2.698 2.219
Sr 0.352 3.234 2.155
Sr 1.859 -0.168 3.427
Cr 0.000 0.000 0.000

***

(3)
4
Lattice="-1.246 1.277 3.840 -2.525 3.377 0.392 -4.032 -0.499 1.192" Properties=species:S:1:pos:R:3 comment="Mn3Sb, relaxed, DFT GGA-PBE" magnetic_moment_mub_per_fu=1.99 pbc="T T T"
Mn 0.000 0.000 0.000
Mn -5.853 3.117 4.067
Mn -1.951 1.039 1.356
Sb -3.902 2.078 2.712

***

(4)
Density functional theory data (GGA-PBE) for a relaxed Cs2Sb2Pt crystal.

```
10
Lattice="-7.227 3.125 3.115 0.776 -7.659 -3.527 1.554 -2.792 6.405" Properties=species:S:1:pos:R:3 pbc="T T T"
Cs -2.054 -4.020 0.746
Cs -5.250 0.286 3.398
Cs -2.844 -3.306 5.248
Cs 0.352 -7.612 2.595
Sb 0.764 -3.933 4.100
Sb -5.661 -3.393 1.894
Sb -3.366 -6.835 3.836
Sb -1.532 -0.491 2.157
Pt 0.000 0.000 0.000
Pt 0.777 -1.396 3.202
```

***

(5)
48
Lattice="-6.448 3.584 3.437 -0.982 -7.284 5.753 6.132 4.529 6.780" Properties=species:S:1:pos:R:3 comment="ZrMnGe2, relaxed, DFT GGA-PBE" magnetic_moment_mub_per_fu=1.61 pbc="T T T"
Ge -1.411 4.931 8.449
Ge 2.813 -3.669 9.103
Ge -4.306 -1.645 9.878
Ge 1.227 -1.207 13.195
Ge 2.337 0.914 3.431
Ge -2.525 2.036 2.776
Ge -0.916 2.643 5.160
Ge 3.008 2.474 6.093
Ge -1.429 -0.435 7.407
Ge -1.066 1.906 12.251
Ge -4.651 1.379 6.076
Ge 3.359 -0.461 6.782
Ge 3.353 -0.550 9.895
Ge 1.791 -2.294 5.752
Ge -3.212 -2.331 6.041
Ge 5.155 1.340 8.273
Ge 0.683 0.167 1.107
Ge 1.914 3.160 9.930
Ge 4.467 -2.922 11.427
Ge 0.132 1.263 8.564
Ge 0.114 -4.102 7.522
Ge -0.232 -1.078 3.720
Ge -0.381 -1.815 10.812
Ge -0.005 -4.096 4.261
Mn 1.428 3.175 4.263
Mn -0.668 -2.265 5.919
Mn -1.149 -0.569 12.897
Mn -0.148 1.397 3.074
Mn 2.599 1.299 8.330
Mn -0.630 3.094 10.052
Mn -1.744 4.938 5.954
Mn 2.080 -2.364 11.176
Mn -5.301 -0.968 5.441
Mn -2.129 -2.732 3.750
Mn -3.378 3.192 4.795
Mn -3.897 -0.470 7.641
Zr -5.336 -3.146 7.649
Zr 4.039 3.975 8.322
Zr -2.077 -2.841 8.701
Zr -2.455 0.160 4.864
Zr -2.356 2.335 7.525
Zr -2.116 0.259 10.138
Zr 0.779 3.670 7.270
Zr 0.819 0.570 5.833
Zr 1.058 -1.506 8.446
Zr 0.864 5.739 10.014
Zr -2.162 -4.911 5.957
Zr 1.157 0.669 11.107

***

(6)
46
Lattice="10.750 0.000 0.000 0.000 10.750 0.000 0.000 0.000 7.613" Properties=species:S:1:pos:R:3 comment="Sn9O4F10, relaxed, DFT GGA-PBE" magnetic_moment_mub_per_fu=0.00 pbc="T T T"
Sn 9.992 1.586 2.565
Sn 1.586 0.758 5.048
Sn 3.789 4.617 2.565
Sn 4.155 7.982 1.268
Sn 7.982 6.595 6.345
Sn 9.530 2.607 6.345
Sn 6.961 6.133 2.565
Sn 0.758 9.164 2.565
Sn 8.143 9.530 1.268
Sn 1.220 8.143 6.345
Sn 6.133 3.789 5.048
Sn 2.607 1.220 1.268
Sn 6.595 2.768 1.268
Sn 0.000 5.375 1.467
Sn 4.617 6.961 5.048
Sn 2.768 4.155 6.345
Sn 9.164 9.992 5.048
Sn 5.375 0.000 6.146
F 2.057 6.859 4.864
F 0.000 0.000 0.000
F 3.318 9.266 2.749
F 6.689 8.444 6.418
F 6.859 8.693 2.749
F 1.484 3.318 4.864
F 8.693 3.891 4.864
F 8.444 4.061 1.195
F 0.000 5.375 7.048
F 1.314 3.069 1.195
F 9.437 7.682 1.195
F 5.375 0.000 0.565
F 4.061 2.307 6.418
F 5.375 5.375 0.000
F 7.682 1.314 6.418
F 7.432 1.484 2.749
F 3.069 9.437 6.418
F 3.891 2.057 2.749
F 2.307 6.689 1.195
F 9.266 7.432 4.864
O 5.963 4.097 2.834
O 10.163 1.278 4.779
O 4.097 4.787 4.779
O 6.654 5.963 4.779
O 0.588 9.472 4.779
O 9.472 10.163 2.834
O 1.278 0.588 2.834
O 4.787 6.654 2.834

***

(7)
114
Lattice="9.118 0.012 0.004 -4.549 7.896 -0.043 0.009 -0.120 23.160" Properties=species:S:1:pos:R:3 comment="Na4Ca3GeP2S4O24, relaxed, DFT GGA-PBE" magnetic_moment_mub_per_fu=0.00 pbc="T T T"
P 1.356 7.851 9.770
P 1.325 2.488 17.521
P -1.197 7.497 21.193
P 3.300 4.838 13.346
P 2.735 5.041 21.254
P -1.413 2.874 21.259
O 2.839 2.518 0.563
O -0.829 1.482 21.052
O 2.414 7.485 16.078
O 3.614 1.212 5.743
O -3.233 6.187 16.320
O 5.675 4.022 17.411
O -2.103 4.899 8.497
O 3.539 1.237 12.196
O 1.622 5.405 5.843
O 1.024 6.986 10.983
O 0.697 6.992 1.730
O 5.393 3.823 9.844
O 5.512 1.280 0.602
O -1.053 6.675 22.438
O 2.712 2.606 3.062
O 1.752 4.955 13.223
O 7.416 0.187 9.739
O 1.985 5.246 22.532
O -1.431 5.374 17.657
O -0.781 1.707 4.560
O 6.313 2.464 5.741
O 3.907 4.109 12.030
O 5.159 1.377 9.968
O 0.997 1.623 18.733
O 6.395 2.659 14.626
O 6.294 2.388 12.178
O -1.195 3.888 20.026
O 5.597 5.997 18.754
O 5.460 4.191 2.916
O -2.597 7.764 4.503
O 1.105 3.803 1.803
O 7.153 -0.085 18.542
O 5.209 6.252 1.659
O 3.819 0.954 14.630
O -0.724 6.912 13.241
O 1.290 3.546 8.451
O -0.858 6.696 5.800
O 3.765 6.139 21.002
O -2.696 7.760 20.947
O -0.516 6.774 19.932
O 1.079 1.373 1.751
O -0.828 3.463 22.510
O 1.072 1.404 9.619
O -0.999 3.662 13.280
O 3.086 2.749 9.814
O 0.989 3.431 10.884
O 3.451 6.280 4.562
O 0.756 1.946 16.170
O 2.836 2.745 17.461
O 3.652 4.112 5.738
O -2.041 5.206 10.922
O 8.110 1.534 6.978
O 5.333 6.248 9.653
O 5.350 4.196 0.433
O 7.375 0.272 1.736
O 0.773 7.309 8.431
O 5.331 0.924 17.350
O 3.641 6.165 6.988
O 3.893 6.265 13.372
O 3.573 3.978 14.555
O -0.676 3.690 5.892
O 1.756 0.306 13.483
O 8.009 1.271 13.436
O 3.587 3.623 21.343
O 0.870 6.387 17.566
O 1.908 0.080 6.973
O 0.562 3.905 17.712
O -1.807 5.028 1.723
O 5.516 1.028 3.089
O 4.046 1.065 21.349
O 6.083 2.811 21.338
O 1.744 4.750 20.027
Na 5.909 5.259 21.117
Na 5.823 -0.004 5.977
Na -0.168 5.234 3.694
Na 8.939 -0.081 23.066
Na 4.667 2.627 7.936
Na 1.635 2.817 5.829
Na 4.536 2.419 19.135
Na 1.595 2.238 21.035
Na 1.264 2.665 13.729
Na 1.739 7.423 13.370
Na -0.022 5.121 15.755
Na 4.498 7.640 11.476
S 1.685 7.655 17.377
S 5.901 0.407 1.810
S -2.947 5.390 17.538
S 7.187 2.532 13.415
S 5.847 4.916 1.706
S -2.885 5.075 9.741
S -1.315 2.345 5.789
S 1.569 2.782 9.704
S -1.794 7.861 5.734
S 3.245 0.365 13.425
S 3.128 5.510 5.781
S 1.935 2.584 1.805
Ca -0.048 5.344 7.596
Ca -0.007 5.226 11.826
Ca -4.492 7.766 15.175
Ca 4.515 2.646 15.988
Ca 4.608 2.693 4.216
Ca 0.059 5.283 0.371
Ca 4.537 7.840 8.219
Ca 4.588 7.843 3.256
Ca 9.066 -0.076 19.633
Ge 4.613 2.468 22.555
Ge 4.568 2.629 11.186
Ge 0.046 5.113 19.051

***

(8)
14
Lattice="3.533 0.000 0.000 0.000 5.849 0.000 0.000 0.000 10.027" Properties=species:S:1:pos:R:3 comment="Ca2CeO4, relaxed, DFT GGA-PBE" e_above_lowest_polymorph_mev_per_atom=0 magnetic_moment_mub_per_fu=0.00 pbc="T T T"
O 0.000 0.892 2.022
O 1.767 1.519 4.605
O 0.000 3.816 2.992
O 1.767 4.330 5.422
O 0.000 4.957 8.005
O 1.767 4.443 0.408
O 1.767 1.406 9.619
O 0.000 2.032 7.035
Ca 1.767 3.283 8.237
Ca 1.767 0.359 6.803
Ca 1.767 2.565 1.790
Ca 1.767 5.489 3.224
Ce 0.000 2.924 5.014
Ce 0.000 0.000 0.000

***

| no. | DFT formation energy (meV per atom) |
| --- | --- |
| 1 | -790 |
| 2 | 505 |
| 3 | 49 |
| 4 | -478 |
| 5 | -523 |
| 6 | -2154 |
| 7 | -2452 |
| 8 | -3552 |